! TbAgTe2 | Materials Project | r2SCAN | optimized geometry; values from VASP
&SYSTEM
  ibrav = 0, nat = 8, ntyp = 3
/
ATOMIC_SPECIES
Tb 158.93 Tb.upf
Ag 107.87 Ag.upf
Te 127.60 Te.upf
CELL_PARAMETERS angstrom
7.1570 0.0000 0.0000
0.0000 7.1570 0.0000
0.0000 0.0000 4.6912
ATOMIC_POSITIONS crystal
Tb 0.0000 0.5000 0.2008
Tb 0.5000 0.0000 0.7992
Ag 0.0000 0.0000 0.0000
Ag 0.5000 0.5000 0.0000
Te 0.2020 0.7020 0.7161
Te 0.2980 0.2020 0.2839
Te 0.7020 0.7980 0.2839
Te 0.7980 0.2980 0.7161
! E_tot (eV for the cell shown): -215.6
! E_form (eV/atom): -1.096



! Tb2ZnAg | Materials Project | r2SCAN | optimized geometry; values from VASP
&SYSTEM
  ibrav = 0, nat = 4, ntyp = 3
/
ATOMIC_SPECIES
Tb 158.93 Tb.upf
Zn 65.41 Zn.upf
Ag 107.87 Ag.upf
CELL_PARAMETERS angstrom
3.6049 0.0000 0.0000
0.0000 3.6049 0.0000
0.0000 0.0000 7.1270
ATOMIC_POSITIONS crystal
Tb 0.0000 0.0000 0.2434
Tb 0.0000 0.0000 0.7566
Zn 0.5000 0.5000 0.0000
Ag 0.5000 0.5000 0.5000
! E_tot (eV for the cell shown): -94.2
! E_form (eV/atom): -0.371



! Ag2Te | Materials Project | r2SCAN | optimized geometry; values from VASP
&SYSTEM
  ibrav = 0, nat = 3, ntyp = 2
/
ATOMIC_SPECIES
Ag 107.87 Ag.upf
Te 127.60 Te.upf
CELL_PARAMETERS angstrom
-2.4338 2.4338 3.1554
2.4338 -2.4338 3.1554
2.4338 2.4338 -3.1554
ATOMIC_POSITIONS crystal
Ag 0.2500 0.7500 0.5000
Ag 0.7500 0.2500 0.5000
Te 0.0000 0.0000 0.0000
! E_tot (eV for the cell shown): -68.3
! E_form (eV/atom): -0.052



! Ag2Te | Materials Project | r2SCAN | optimized geometry; values from VASP
&SYSTEM
  ibrav = 0, nat = 12, ntyp = 2
/
ATOMIC_SPECIES
Ag 107.87 Ag.upf
Te 127.60 Te.upf
CELL_PARAMETERS angstrom
7.9570 0.0000 0.0000
0.0000 4.5054 0.0000
-4.7523 0.0000 7.7139
ATOMIC_POSITIONS crystal
Ag 0.0348 0.1126 0.1599
Ag 0.0348 0.3874 0.6599
Ag 0.3353 0.6392 0.3469
Ag 0.3353 0.8608 0.8469
Ag 0.6647 0.1392 0.1531
Ag 0.6647 0.3608 0.6531
Ag 0.9652 0.6126 0.3401
Ag 0.9652 0.8874 0.8401
Te 0.2720 0.1452 0.5304
Te 0.2720 0.3548 0.0304
Te 0.7280 0.6452 0.9696
Te 0.7280 0.8548 0.4696
! E_tot (eV for the cell shown): -273.7
! E_form (eV/atom): -0.095



! AgTe | Materials Project | r2SCAN | optimized geometry; values from VASP
&SYSTEM
  ibrav = 0, nat = 32, ntyp = 2
/
ATOMIC_SPECIES
Ag 107.87 Ag.upf
Te 127.60 Te.upf
CELL_PARAMETERS angstrom
20.0510 0.0000 0.0000
0.0000 8.9635 0.0000
0.0000 0.0000 4.7836
ATOMIC_POSITIONS crystal
Ag 0.0600 0.2500 0.2158
Ag 0.0715 0.5053 0.5797
Ag 0.0715 0.9947 0.5797
Ag 0.1597 0.7500 0.6966
Ag 0.3403 0.2500 0.1966
Ag 0.4285 0.0053 0.0797
Ag 0.4285 0.4947 0.0797
Ag 0.4400 0.7500 0.7158
Ag 0.5600 0.2500 0.2842
Ag 0.5715 0.5053 0.9203
Ag 0.5715 0.9947 0.9203
Ag 0.6597 0.7500 0.8034
Ag 0.8403 0.2500 0.3034
Ag 0.9285 0.0053 0.4203
Ag 0.9285 0.4947 0.4203
Ag 0.9400 0.7500 0.7842
Te 0.0179 0.7500 0.2945
Te 0.1571 0.0191 0.0411
Te 0.1571 0.4809 0.0411
Te 0.2385 0.2500 0.7962
Te 0.2615 0.7500 0.2962
Te 0.3429 0.5191 0.5411
Te 0.3429 0.9809 0.5411
Te 0.4821 0.2500 0.7945
Te 0.5179 0.7500 0.2055
Te 0.6571 0.0191 0.4589
Te 0.6571 0.4809 0.4589
Te 0.7385 0.2500 0.7038
Te 0.7615 0.7500 0.2038
Te 0.8429 0.5191 0.9589
Te 0.8429 0.9809 0.9589
Te 0.9821 0.2500 0.7055
! E_tot (eV for the cell shown): -750.6
! E_form (eV/atom): -0.071



! Ag2Te | Materials Project | r2SCAN | optimized geometry; values from VASP
&SYSTEM
  ibrav = 0, nat = 6, ntyp = 2
/
ATOMIC_SPECIES
Ag 107.87 Ag.upf
Te 127.60 Te.upf
CELL_PARAMETERS angstrom
2.5238 -3.7436 0.0000
2.5238 3.7436 0.0000
0.0000 0.0000 7.5851
ATOMIC_POSITIONS crystal
Ag 0.1420 0.8580 0.8577
Ag 0.3580 0.6420 0.3577
Ag 0.6420 0.3580 0.6423
Ag 0.8580 0.1420 0.1423
Te 0.0000 0.0000 0.5000
Te 0.5000 0.5000 0.0000
! E_tot (eV for the cell shown): -136.6
! E_form (eV/atom): -0.053



! TlAgTe | Materials Project | r2SCAN | optimized geometry; values from VASP
&SYSTEM
  ibrav = 0, nat = 12, ntyp = 3
/
ATOMIC_SPECIES
Tl 204.38 Tl.upf
Ag 107.87 Ag.upf
Te 127.60 Te.upf
CELL_PARAMETERS angstrom
8.7601 0.0000 0.0000
0.0000 4.9080 0.0000
0.0000 0.0000 7.9593
ATOMIC_POSITIONS crystal
Tl 0.0128 0.2500 0.1809
Tl 0.4872 0.7500 0.6809
Tl 0.5128 0.2500 0.3191
Tl 0.9872 0.7500 0.8191
Ag 0.1686 0.7500 0.4130
Ag 0.3314 0.2500 0.9130
Ag 0.6686 0.7500 0.0870
Ag 0.8314 0.2500 0.5870
Te 0.1865 0.2500 0.5972
Te 0.3135 0.7500 0.0972
Te 0.6865 0.2500 0.9028
Te 0.8135 0.7500 0.4028
! E_tot (eV for the cell shown): -403.0
! E_form (eV/atom): -0.264



! Tl4Ag18Te11 | Materials Project | r2SCAN | optimized geometry; values from VASP
&SYSTEM
  ibrav = 0, nat = 66, ntyp = 3
/
ATOMIC_SPECIES
Tl 204.38 Tl.upf
Ag 107.87 Ag.upf
Te 127.60 Te.upf
CELL_PARAMETERS angstrom
-6.6445 6.6445 9.4218
6.6445 -6.6445 9.4218
6.6445 6.6445 -9.4218
ATOMIC_POSITIONS crystal
Tl 0.0000 0.0000 0.0000
Tl 0.0063 0.0063 0.4704
Tl 0.0063 0.5358 0.0000
Tl 0.2218 0.2218 0.0000
Tl 0.5350 0.5350 0.0000
Tl 0.5358 0.0063 0.0000
Tl 0.5358 0.5358 0.5296
Tl 0.7694 0.7694 0.0000
Ag 0.0281 0.2931 0.2649
Ag 0.0281 0.7632 0.7351
Ag 0.0291 0.2926 0.5171
Ag 0.0293 0.5122 0.2634
Ag 0.0291 0.5119 0.7364
Ag 0.0293 0.7659 0.5171
Ag 0.1568 0.1568 0.3875
Ag 0.1568 0.7693 0.0000
Ag 0.1582 0.7708 0.3874
Ag 0.2478 0.5124 0.7354
Ag 0.2488 0.5122 0.4829
Ag 0.2488 0.7659 0.7366
Ag 0.2931 0.0281 0.2649
Ag 0.2926 0.0291 0.5171
Ag 0.2926 0.7755 0.2636
Ag 0.3834 0.7708 0.6126
Ag 0.3852 0.3852 0.6163
Ag 0.3852 0.7689 0.0000
Ag 0.5122 0.0293 0.2634
Ag 0.5119 0.0291 0.7364
Ag 0.5124 0.2478 0.7354
Ag 0.5122 0.2488 0.4829
Ag 0.5119 0.7755 0.4829
Ag 0.5124 0.7770 0.2646
Ag 0.7632 0.0281 0.7351
Ag 0.7659 0.0293 0.5171
Ag 0.7659 0.2488 0.7366
Ag 0.7693 0.1568 0.0000
Ag 0.7689 0.3852 0.0000
Ag 0.7689 0.7689 0.3837
Ag 0.7693 0.7693 0.6125
Ag 0.7708 0.1582 0.3874
Ag 0.7708 0.3834 0.6126
Ag 0.7755 0.2926 0.2636
Ag 0.7755 0.5119 0.4829
Ag 0.7770 0.5124 0.2646
Te 0.0204 0.5204 0.5000
Te 0.0998 0.8799 0.2199
Te 0.2693 0.2693 0.3146
Te 0.2693 0.9546 0.0000
Te 0.2701 0.5846 0.3144
Te 0.2701 0.9557 0.6856
Te 0.2708 0.2708 0.6848
Te 0.2708 0.5860 0.0000
Te 0.4405 0.6608 0.7798
Te 0.5204 0.0204 0.5000
Te 0.5846 0.2701 0.3144
Te 0.5860 0.2708 0.0000
Te 0.5860 0.5860 0.3152
Te 0.6601 0.8799 0.7801
Te 0.6608 0.4405 0.7798
Te 0.6608 0.8810 0.2202
Te 0.8799 0.0998 0.2199
Te 0.8799 0.6601 0.7801
Te 0.8810 0.6608 0.2202
Te 0.9546 0.2693 0.0000
Te 0.9546 0.9546 0.6854
Te 0.9557 0.2701 0.6856
! E_tot (eV for the cell shown): -1764.6
! E_form (eV/atom): -0.170